1.
A plane-wave DFT calculation with PBE was carried out for a relaxed LaGe3Ir crystal. Values from VASP.

Formation enthalpy at 0 K in eV/atom: -0.7285
Energy in eV/atom: -6.2572

Structure (Quantum ESPRESSO input):
```
&SYSTEM
  ibrav = 0, nat = 10, ntyp = 3
/
ATOMIC_SPECIES
La 138.91 La.upf
Ge 72.64 Ge.upf
Ir 192.22 Ir.upf
CELL_PARAMETERS angstrom
4.476 0.000 0.000
0.000 4.476 0.000
0.000 0.000 10.187
ATOMIC_POSITIONS crystal
La 0.000 0.000 0.000
La 0.500 0.500 0.500
Ge 0.000 0.000 0.579
Ge 0.000 0.500 0.237
Ge 0.000 0.500 0.737
Ge 0.500 0.000 0.237
Ge 0.500 0.000 0.737
Ge 0.500 0.500 0.079
Ir 0.000 0.000 0.341
Ir 0.500 0.500 0.841
```


2.
A plane-wave DFT calculation with PBE was carried out for a relaxed LiSn crystal. Values from VASP.

Formation enthalpy at 0 K in eV/atom: -0.3259
Energy in eV/atom: -3.2851

Structure (Quantum ESPRESSO input):
```
&SYSTEM
  ibrav = 0, nat = 6, ntyp = 2
/
ATOMIC_SPECIES
Li 6.94 Li.upf
Sn 118.71 Sn.upf
CELL_PARAMETERS angstrom
5.181 0.000 0.000
0.000 3.224 0.000
-2.118 0.000 7.512
ATOMIC_POSITIONS crystal
Li 0.000 0.000 0.000
Li 0.232 0.000 0.668
Li 0.768 0.000 0.332
Sn 0.259 0.500 0.338
Sn 0.500 0.500 0.000
Sn 0.741 0.500 0.662
```